1.
A plane-wave DFT calculation with meta-GGA r2SCAN was carried out for Rb after structural relaxation.

Summary:
Energy above the most stable polymorph in this dataset: 14 meV/atom
M_tot: 0.00 μB/f.u.
ΔH_f (0 K): 0.32 kcal/mol of atoms

Cell: 17.6996 17.6996 17.6996 Å, 90.00 90.00 90.00°
Closest atoms and distances in Å follow each position.
Space group I-43m (No. 217)
Symmetry-distinct sites (fractional):
Rb 0.0000 0.0000 0.0000 [2 per cell]  16 Rb 5.49-5.59
Rb 0.0425 0.3604 0.3604 [24 per cell]  8 Rb 4.77-5.21
Rb 0.0917 0.0917 0.2818 [24 per cell]  6 Rb 4.59-5.03
Rb 0.1822 0.1822 0.8178 [8 per cell]  10 Rb 4.99-5.59

2.
A plane-wave DFT calculation with meta-GGA r2SCAN was carried out for Rb after structural relaxation.

Summary:
Energy above the most stable polymorph in this dataset: 10 meV/atom
M_tot: 0.00 μB/f.u.
ΔH_f (0 K): 0.23 kcal/mol of atoms

Cell: 5.0888 5.0888 16.8837 Å, 90.00 90.00 120.00°
Closest atoms and distances in Å follow each position.
Space group P6_3/mmc (No. 194)
Symmetry-distinct sites (fractional):
Rb 0.0000 0.0000 0.0000 [2 per cell]  12 Rb 5.09-5.14
Rb 0.3333 0.6667 0.2500 [2 per cell]  12 Rb 5.09-5.14

3.
A plane-wave DFT calculation with meta-GGA r2SCAN was carried out for Rb after structural relaxation.

Summary:
Energy above the most stable polymorph in this dataset: 48 meV/atom
M_tot: 0.00 μB/f.u.
ΔH_f (0 K): 1.11 kcal/mol of atoms

Cell: 11.5800 16.9080 25.5522 Å, 90.00 90.00 90.00°
Closest atoms and distances in Å follow each position.
Space group C222_1 (No. 20)
Symmetry-distinct sites (fractional):
Rb 0.0000 0.1066 0.2500 [4 per cell]  10 Rb 4.89-5.37
Rb 0.0006 0.3930 0.0740 [8 per cell]  10 Rb 4.88-5.46
Rb 0.0525 0.1122 0.5998 [8 per cell]  5 Rb 4.59-5.10
Rb 0.1055 0.3752 0.6831 [8 per cell]  2 Rb 4.20-4.32
Rb 0.1744 0.1335 0.0467 [8 per cell]  2 Rb 4.32-4.59
Rb 0.2277 0.3649 0.2604 [8 per cell]  9 Rb 4.84-5.33
Rb 0.2461 0.3527 0.9110 [8 per cell]  8 Rb 4.75-5.17

Question: Which formula does entry 3 have?
Answer: Rb

Question: The highest ΔH_f (0 K) belongs to which entry?
Answer: number 3

Question: What is the formula in the second record?
Answer: Rb